Compound: Si5Ir3
Source: Materials Project
Functional: PBE
Structure: relaxed

Properties
Uncorrected energy ... -469.5 eV per cell
Formation enthalpy at 0 K ... -630.3 meV per atom
Calculated volume ... 120.8 Å³/f.u.

a = 14.305 Å, b = 6.474 Å, c = 11.671 Å
α = 63.42°, β = 90.00°, γ = 90.00°
Positions (direct):
Si 0.280 0.553 0.308
Si 0.780 0.447 0.192
Si 0.720 0.447 0.692
Si 0.220 0.553 0.808
Si 0.251 0.383 0.644
Si 0.751 0.617 0.856
Si 0.749 0.617 0.356
Si 0.249 0.383 0.144
Si 0.488 0.257 0.795
Si 0.988 0.743 0.705
Si 0.512 0.743 0.205
Si 0.012 0.257 0.295
Si 0.150 0.953 0.591
Si 0.650 0.047 0.909
Si 0.850 0.047 0.409
Si 0.443 0.328 0.335
Si 0.350 0.953 0.091
Si 0.937 0.647 0.509
Si 0.563 0.647 0.009
Si 0.063 0.353 0.491
Si 0.113 0.860 0.391
Si 0.613 0.140 0.109
Si 0.887 0.140 0.609
Si 0.387 0.860 0.891
Si 0.158 0.927 0.933
Si 0.658 0.073 0.567
Si 0.842 0.073 0.067
Si 0.342 0.927 0.433
Si 0.510 0.744 0.424
Si 0.010 0.256 0.076
Si 0.490 0.256 0.576
Si 0.990 0.744 0.924
Si 0.391 0.864 0.672
Si 0.891 0.136 0.828
Si 0.609 0.136 0.328
Si 0.109 0.864 0.172
Si 0.057 0.328 0.835
Si 0.557 0.672 0.665
Si 0.943 0.672 0.165
Si 0.437 0.353 0.991
Ir 0.336 0.233 0.507
Ir 0.836 0.767 0.993
Ir 0.664 0.767 0.493
Ir 0.164 0.233 0.007
Ir 0.167 0.236 0.367
Ir 0.667 0.764 0.133
Ir 0.833 0.764 0.633
Ir 0.333 0.236 0.867
Ir 0.457 0.082 0.227
Ir 0.957 0.918 0.273
Ir 0.543 0.918 0.773
Ir 0.043 0.082 0.727
Ir 0.252 0.952 0.256
Ir 0.752 0.048 0.244
Ir 0.748 0.048 0.744
Ir 0.248 0.952 0.756
Ir 0.094 0.567 0.103
Ir 0.594 0.433 0.397
Ir 0.906 0.433 0.897
Ir 0.406 0.567 0.603
Ir 0.902 0.428 0.389
Ir 0.402 0.572 0.111
Ir 0.098 0.572 0.611
Ir 0.598 0.428 0.889


Compound: Cs2AgSbF6
Source: Materials Project
Functional: PBE
Structure: relaxed

Properties
Uncorrected energy ... -42.8 eV per cell
Formation enthalpy at 0 K ... -2532.8 meV per atom
Calculated volume ... 209.5 Å³/f.u.

a = 6.667 Å, b = 6.667 Å, c = 6.667 Å
α = 60.00°, β = 60.00°, γ = 60.00°
Positions (direct):
Cs 0.250 0.250 0.250
Cs 0.750 0.750 0.750
Ag 0.500 0.500 0.500
Sb 0.000 0.000 0.000
F 0.235 0.765 0.235
F 0.765 0.765 0.235
F 0.765 0.235 0.765
F 0.765 0.235 0.235
F 0.235 0.765 0.765
F 0.235 0.235 0.765


Compound: MgPt2
Source: Materials Project
Functional: PBE
Structure: relaxed

Properties
Uncorrected energy ... -30.9 eV per cell
Formation enthalpy at 0 K ... -569.6 meV per atom
Calculated volume ... 47.9 Å³/f.u.

a = 2.855 Å, b = 5.316 Å, c = 6.836 Å
α = 74.15°, β = 89.98°, γ = 105.54°
Positions (direct):
Mg 0.725 0.449 0.066
Mg 0.664 0.329 0.657
Pt 0.333 0.666 0.342
Pt 0.056 0.112 0.380
Pt 0.383 0.766 0.729
Pt 0.006 0.012 0.993


Compound: MgTe2Mo3Se2S2
Source: Materials Project
Functional: PBE
Structure: relaxed

Properties
Uncorrected energy ... -60.3 eV per cell
Formation enthalpy at 0 K ... -564.3 meV per atom
ΔE to the lowest computed polymorph ... 4 meV per atom
Calculated volume ... 345.4 Å³/f.u.

a = 3.360 Å, b = 3.360 Å, c = 35.317 Å
α = 90.08°, β = 90.00°, γ = 120.00°
Positions (direct):
Mg 0.336 0.673 0.222
Te 0.666 0.331 0.525
Te 0.667 0.334 0.632
Mo 0.334 0.669 0.109
Mo 0.333 0.666 0.578
Mo 0.667 0.334 0.351
Se 0.334 0.669 0.398
Se 0.333 0.666 0.304
S 0.667 0.335 0.066
S 0.668 0.336 0.152